RbSb2PO8 | the Materials Project | PBE-GGA | optimized geometry; V = 695.4 Å³/cell; energy relative to the elements = -2219 meV per atom; uncorrected energy = -6.281 eV/atom; total moment = 0.00 μB/f.u.
1.0
3.6150 6.3425 0.0000
-3.6150 6.3425 0.0000
0.0000 1.7498 15.1653
Rb Sb P O
4 8 4 32
Direct
0.6813 0.9227 0.9204
0.9227 0.6813 0.4204
0.7408 0.9800 0.6469
0.9800 0.7408 0.1469
0.2112 0.9567 0.7854
0.9567 0.2112 0.2854
0.3776 0.6422 0.5954
0.6422 0.3776 0.0954
0.7086 0.4540 0.7786
0.4540 0.7086 0.2786
0.0248 0.2879 0.9685
0.2879 0.0248 0.4685
0.1200 0.3449 0.6380
0.3449 0.1200 0.1380
0.3218 0.5448 0.9257
0.5448 0.3218 0.4257
0.3957 0.4925 0.3573
0.4925 0.3957 0.8573
0.1772 0.8110 0.6919
0.8110 0.1772 0.1919
0.8498 0.4906 0.8736
0.4906 0.8498 0.3736
0.1621 0.7616 0.8801
0.7616 0.1621 0.3801
0.5260 0.7698 0.7796
0.7698 0.5260 0.2796
0.4271 0.5816 0.0002
0.5816 0.4271 0.5002
0.2137 0.4822 0.5961
0.4822 0.2137 0.0961
0.1685 0.2719 0.2044
0.2719 0.1685 0.7044
0.4981 0.8327 0.5592
0.8327 0.4981 0.0592
0.8951 0.1387 0.7851
0.1387 0.8951 0.2851
0.1876 0.4475 0.9684
0.4475 0.1876 0.4684
0.9060 0.5038 0.6857
0.5038 0.9060 0.1857
0.8369 0.1657 0.0055
0.1657 0.8369 0.5055
0.0906 0.2421 0.3855
0.2421 0.0906 0.8855
0.5824 0.4225 0.6757
0.4225 0.5824 0.1757
0.0798 0.2418 0.5634
0.2418 0.0798 0.0634

***

Rb2SiP4O13 | the Materials Project | PBE-GGA | optimized geometry; V = 588.1 Å³/cell; energy relative to the elements = -2737 meV per atom; uncorrected energy = -6.959 eV/atom
1.0
4.9277 0.0000 0.0000
1.1199 7.7993 0.0000
1.7050 1.4271 15.3019
Rb Si P O
4 2 8 26
Direct
0.7254 0.6965 0.9722
0.2746 0.3035 0.0278
0.3219 0.2573 0.5107
0.6781 0.7427 0.4893
0.4552 0.0569 0.7584
0.5448 0.9431 0.2416
0.6828 0.3191 0.2108
0.3172 0.6809 0.7892
0.1066 0.7942 0.1501
0.3280 0.5976 0.3055
0.9800 0.0893 0.3366
0.0200 0.9107 0.6634
0.8934 0.2058 0.8499
0.6720 0.4024 0.6945
0.8056 0.2766 0.9357
0.2897 0.0178 0.3275
0.5124 0.5906 0.7116
0.4876 0.4094 0.2884
0.4595 0.2748 0.7108
0.7987 0.8709 0.1569
0.5494 0.1617 0.1945
0.1944 0.7234 0.0643
0.2837 0.9288 0.1727
0.7163 0.0712 0.8273
0.7382 0.4375 0.1320
0.4506 0.8383 0.8055
0.2013 0.1291 0.8431
0.7103 0.9822 0.6725
0.1826 0.5809 0.3946
0.1158 0.8469 0.5766
0.8699 0.3621 0.7710
0.0461 0.7515 0.7418
0.8174 0.4191 0.6054
0.5405 0.7252 0.2892
0.2618 0.5625 0.8680
0.9539 0.2485 0.2582
0.8842 0.1531 0.4234
0.8061 0.9560 0.3108
0.1939 0.0440 0.6892
0.1301 0.6379 0.2290

***

RbSmP4O12 | the Materials Project | PBE-GGA | optimized geometry; V = 523.6 Å³/cell; energy relative to the elements = -2918 meV per atom; uncorrected energy = -7.279 eV/atom; total moment = 0.00 μB/f.u.
1.0
-3.5033 2.8848 6.1637
3.9815 -6.4584 1.0113
8.4030 3.6277 5.6284
Rb Sm P O
2 2 8 24
Direct
0.8074 0.1926 0.7500
0.1926 0.8074 0.2500
0.1227 0.8773 0.7500
0.8773 0.1227 0.2500
0.3047 0.2508 0.9498
0.7492 0.6953 0.5502
0.6953 0.7492 0.0502
0.2508 0.3047 0.4498
0.3804 0.7072 0.5121
0.2928 0.6196 0.9879
0.6196 0.2928 0.4879
0.7072 0.3804 0.0121
0.3088 0.7954 0.8863
0.2046 0.6912 0.6137
0.6912 0.2046 0.1137
0.7954 0.3088 0.3863
0.4841 0.1000 0.6050
0.9000 0.5159 0.8950
0.5159 0.9000 0.3950
0.1000 0.4841 0.1050
0.1390 0.1593 0.5905
0.8407 0.8610 0.9095
0.8610 0.8407 0.4095
0.1593 0.1390 0.0905
0.2750 0.5258 0.4472
0.4742 0.7250 0.0528
0.7250 0.4742 0.5528
0.5258 0.2750 0.9472
0.6410 0.5105 0.0915
0.4895 0.3590 0.4085
0.3590 0.4895 0.9085
0.5105 0.6410 0.5915
0.1693 0.2538 0.3384
0.7462 0.8307 0.1616
0.8307 0.7462 0.6616
0.2538 0.1693 0.8384